This record from Materials Project describes a relaxed structure of Rb3HSe2O8. The functional is PBE.

## Properties
Distance to the lowest polymorph of the same formula = 0.000 eV/atom
Spin magnetization = 0.00 μB per cell

a = 8.5322 Å, b = 8.5322 Å, c = 10.6896 Å
α = 77.97°, β = 77.97°, γ = 42.86°
Last column: nearest neighbours and their distance in Å.
Atoms (fractional coordinates):
O: 0.1700 0.1444 0.0995  1 Se 1.67
Rb: 0.7534 0.2466 0.2500  6 O 2.90-3.10, 2 H 3.08
O: 0.3959 0.9141 0.8788  1 Se 1.67
O: 0.6759 0.5749 0.6130  1 Se 1.66
Rb: 0.4628 0.9213 0.3478  9 O 2.99-3.30
Rb: 0.5372 0.0787 0.6522  9 O 2.99-3.30
H: 0.0000 0.0000 0.0000  2 O 1.22
H: 0.0000 0.0000 0.5000  2 O 1.22
O: 0.1746 0.8383 0.0562  1 H 1.22
O: 0.1444 0.1700 0.5995  1 Se 1.67
O: 0.8254 0.1617 0.9438  1 H 1.22
O: 0.5749 0.6759 0.1130  1 Se 1.66
O: 0.9141 0.3959 0.3788  1 Se 1.67
O: 0.0859 0.6041 0.6212  1 Se 1.67
Se: 0.6619 0.1059 0.9633  4 O 1.66-1.74
Se: 0.3381 0.8941 0.0367  4 O 1.66-1.74
O: 0.8300 0.8556 0.9005  1 Se 1.67
O: 0.8556 0.8300 0.4005  1 Se 1.67
Se: 0.1059 0.6619 0.4633  4 O 1.66-1.74
Se: 0.8941 0.3381 0.5367  4 O 1.66-1.74
O: 0.6041 0.0859 0.1212  1 Se 1.67
Rb: 0.2466 0.7534 0.7500  6 O 2.90-3.10, 2 H 3.08
Rb: 0.0787 0.5372 0.1522  9 O 2.99-3.30
O: 0.8383 0.1746 0.5562  1 H 1.22
O: 0.4251 0.3241 0.8870  1 Se 1.66
Rb: 0.9213 0.4628 0.8478  9 O 2.99-3.30
O: 0.3241 0.4251 0.3870  1 Se 1.66
O: 0.1617 0.8254 0.4438  1 H 1.22